## P
{
  "formula": "Na5Fe2P2C2O14",
  "functional": "PBE+U",
  "state": "optimized geometry",
  "cell": [[-5.469, 1.915, -3.198], [-4.734, -1.082, 7.615], [2.042, 10.002, 2.571]],
  "species": ["Na", "Na", "Na", "Na", "Na", "Na", "Na", "Na", "Na", "Na", "Fe", "Fe", "Fe", "Fe", "P", "P", "P", "P", "C", "C", "C", "C", "O", "O", "O", "O", "O", "O", "O", "O", "O", "O", "O", "O", "O", "O", "O", "O", "O", "O", "O", "O", "O", "O", "O", "O", "O", "O", "O", "O"],
  "frac_coords": [[0.731, 0.922, 0.124], [0.738, 0.915, 0.640], [0.989, 0.740, 0.870], [0.999, 0.733, 0.382], [0.505, 0.730, 0.388], [0.011, 0.260, 0.130], [0.495, 0.270, 0.612], [0.001, 0.267, 0.618], [0.269, 0.078, 0.876], [0.262, 0.085, 0.360], [0.258, 0.643, 0.137], [0.255, 0.659, 0.647], [0.742, 0.357, 0.863], [0.745, 0.341, 0.353], [0.754, 0.577, 0.103], [0.752, 0.584, 0.605], [0.246, 0.423, 0.897], [0.248, 0.416, 0.395], [0.242, 0.923, 0.118], [0.244, 0.950, 0.611], [0.758, 0.077, 0.882], [0.756, 0.050, 0.389], [0.774, 0.937, 0.893], [0.752, 0.908, 0.402], [0.257, 0.859, 0.230], [0.235, 0.890, 0.722], [0.247, 0.833, 0.020], [0.250, 0.863, 0.510], [0.941, 0.679, 0.135], [0.565, 0.672, 0.138], [0.937, 0.681, 0.644], [0.563, 0.679, 0.630], [0.240, 0.570, 0.827], [0.253, 0.564, 0.317], [0.757, 0.544, 0.956], [0.761, 0.545, 0.462], [0.243, 0.456, 0.044], [0.239, 0.455, 0.538], [0.760, 0.430, 0.173], [0.747, 0.436, 0.683], [0.435, 0.328, 0.862], [0.059, 0.321, 0.865], [0.437, 0.321, 0.370], [0.063, 0.319, 0.356], [0.753, 0.167, 0.980], [0.750, 0.137, 0.490], [0.743, 0.141, 0.770], [0.765, 0.110, 0.278], [0.226, 0.063, 0.107], [0.248, 0.092, 0.598]],
  "sg": "No. 2"
}


## Q
{
  "formula": "Na5Fe2P2C2O14",
  "functional": "PBE+U",
  "state": "optimized geometry",
  "cell": [[-7.574, -1.791, 3.232], [-0.177, -8.498, 0.010], [3.433, -0.094, 8.321]],
  "species": ["Na", "Na", "Na", "Na", "Na", "Na", "Na", "Na", "Na", "Na", "Fe", "Fe", "Fe", "Fe", "P", "P", "P", "P", "C", "C", "C", "C", "O", "O", "O", "O", "O", "O", "O", "O", "O", "O", "O", "O", "O", "O", "O", "O", "O", "O", "O", "O", "O", "O", "O", "O", "O", "O", "O", "O"],
  "frac_coords": [[0.499, 0.270, 0.924], [0.004, 0.759, 0.913], [0.615, 0.880, 0.738], [0.139, 0.380, 0.734], [0.878, 0.118, 0.732], [0.122, 0.882, 0.268], [0.385, 0.120, 0.262], [0.861, 0.620, 0.266], [0.996, 0.241, 0.087], [0.501, 0.730, 0.076], [0.724, 0.518, 0.645], [0.240, 0.004, 0.657], [0.760, 0.996, 0.343], [0.276, 0.482, 0.355], [0.521, 0.230, 0.585], [0.018, 0.725, 0.577], [0.479, 0.770, 0.415], [0.982, 0.275, 0.423], [0.258, 0.994, 0.948], [0.769, 0.494, 0.927], [0.742, 0.006, 0.052], [0.231, 0.506, 0.073], [0.734, 0.015, 0.909], [0.210, 0.513, 0.934], [0.141, 0.098, 0.883], [0.655, 0.605, 0.865], [0.366, 0.899, 0.865], [0.859, 0.388, 0.835], [0.590, 0.356, 0.675], [0.076, 0.850, 0.674], [0.393, 0.179, 0.688], [0.892, 0.661, 0.675], [0.056, 0.202, 0.570], [0.558, 0.697, 0.563], [0.662, 0.081, 0.551], [0.164, 0.577, 0.538], [0.338, 0.919, 0.449], [0.836, 0.423, 0.462], [0.944, 0.798, 0.430], [0.442, 0.303, 0.437], [0.607, 0.821, 0.312], [0.924, 0.150, 0.326], [0.108, 0.339, 0.325], [0.410, 0.644, 0.325], [0.634, 0.101, 0.135], [0.141, 0.612, 0.165], [0.345, 0.395, 0.135], [0.859, 0.902, 0.117], [0.266, 0.985, 0.091], [0.790, 0.487, 0.066]],
  "sg": "No. 2"
}


From most stable to least stable, the computed energies give Q, P.